Material: Zr6Al16Pt7
Method: DFT, PBE
State: relaxed

Properties
Space group: No. 225
Energy relative to the elements, eV per atom: -0.92

Cell lengths 8.799, 8.799, 8.799 Å; angles 60.00, 60.00, 60.00 degrees
Atoms (fractional coordinates):
Zr  0.186  0.186  0.814
Zr  0.186  0.814  0.186
Zr  0.186  0.814  0.814
Zr  0.814  0.186  0.186
Zr  0.814  0.186  0.814
Zr  0.814  0.814  0.186
Al  0.139  0.620  0.620
Al  0.165  0.165  0.165
Al  0.165  0.165  0.504
Al  0.165  0.504  0.165
Al  0.380  0.380  0.380
Al  0.380  0.380  0.861
Al  0.380  0.861  0.380
Al  0.496  0.835  0.835
Al  0.504  0.165  0.165
Al  0.620  0.139  0.620
Al  0.620  0.620  0.139
Al  0.620  0.620  0.620
Al  0.835  0.496  0.835
Al  0.835  0.835  0.496
Al  0.835  0.835  0.835
Al  0.861  0.380  0.380
Pt  0.000  0.000  0.500
Pt  0.000  0.500  0.000
Pt  0.000  0.500  0.500
Pt  0.500  0.000  0.000
Pt  0.500  0.000  0.500
Pt  0.500  0.500  0.000
Pt  0.500  0.500  0.500


Material: K5B19O31
Method: DFT, PBE
State: relaxed

Properties
Space group: No. 15
Energy relative to the elements, eV per atom: -2.83

Cell lengths 10.764, 10.764, 13.139 Å; angles 94.64, 94.64, 65.64 degrees
Atoms (fractional coordinates):
K  0.000  0.000  0.000
K  0.000  0.000  0.500
K  0.055  0.595  0.333
K  0.292  0.381  0.804
K  0.381  0.292  0.304
K  0.405  0.945  0.167
K  0.595  0.055  0.833
K  0.619  0.708  0.696
K  0.708  0.619  0.196
K  0.945  0.405  0.667
B  0.020  0.673  0.699
B  0.041  0.093  0.241
B  0.049  0.297  0.961
B  0.093  0.041  0.741
B  0.111  0.241  0.144
B  0.172  0.676  0.135
B  0.206  0.529  0.572
B  0.239  0.283  0.525
B  0.241  0.111  0.644
B  0.282  0.689  0.497
B  0.283  0.239  0.025
B  0.297  0.049  0.461
B  0.311  0.718  0.003
B  0.324  0.828  0.365
B  0.327  0.980  0.801
B  0.391  0.609  0.250
B  0.434  0.534  0.619
B  0.466  0.566  0.881
B  0.471  0.794  0.928
B  0.529  0.206  0.072
B  0.534  0.434  0.119
B  0.566  0.466  0.381
B  0.609  0.391  0.750
B  0.673  0.020  0.199
B  0.676  0.172  0.635
B  0.689  0.282  0.997
B  0.703  0.951  0.539
B  0.717  0.761  0.975
B  0.718  0.311  0.503
B  0.759  0.889  0.356
B  0.761  0.717  0.475
B  0.794  0.471  0.428
B  0.828  0.324  0.865
B  0.889  0.759  0.856
B  0.907  0.959  0.259
B  0.951  0.703  0.039
B  0.959  0.907  0.759
B  0.980  0.327  0.301
O  0.013  0.285  0.055
O  0.028  0.799  0.691
O  0.028  0.972  0.250
O  0.042  0.674  0.124
O  0.063  0.340  0.231
O  0.092  0.560  0.639
O  0.103  0.118  0.668
O  0.118  0.103  0.168
O  0.182  0.279  0.944
O  0.182  0.645  0.508
O  0.201  0.972  0.809
O  0.206  0.748  0.068
O  0.216  0.411  0.500
O  0.224  0.249  0.620
O  0.249  0.224  0.120
O  0.252  0.794  0.432
O  0.253  0.615  0.217
O  0.279  0.182  0.444
O  0.285  0.013  0.555
O  0.326  0.958  0.376
O  0.334  0.492  0.636
O  0.340  0.063  0.731
O  0.355  0.818  0.992
O  0.360  0.594  0.948
O  0.385  0.747  0.283
O  0.406  0.640  0.552
O  0.411  0.216  0.000
O  0.439  0.515  0.334
O  0.440  0.908  0.861
O  0.485  0.561  0.166
O  0.492  0.334  0.136
O  0.508  0.666  0.864
O  0.515  0.439  0.834
O  0.560  0.092  0.139
O  0.561  0.485  0.666
O  0.589  0.784  0.000
O  0.594  0.360  0.448
O  0.615  0.253  0.717
O  0.640  0.406  0.052
O  0.645  0.182  0.008
O  0.660  0.937  0.269
O  0.666  0.508  0.364
O  0.674  0.042  0.624
O  0.715  0.987  0.445
O  0.721  0.818  0.556
O  0.747  0.385  0.783
O  0.748  0.206  0.568
O  0.751  0.776  0.880
O  0.776  0.751  0.380
O  0.784  0.589  0.500
O  0.794  0.252  0.932
O  0.799  0.028  0.191
O  0.818  0.355  0.492
O  0.818  0.721  0.056
O  0.882  0.897  0.832
O  0.897  0.882  0.332
O  0.908  0.440  0.361
O  0.937  0.660  0.769
O  0.958  0.326  0.876
O  0.972  0.028  0.750
O  0.972  0.201  0.309
O  0.987  0.715  0.945


Material: SnH20C7IN
Method: DFT, PBE
State: relaxed

Properties
Space group: No. 14
Energy relative to the elements, eV per atom: -0.13

Cell lengths 14.903, 7.251, 14.365 Å; angles 90.00, 94.36, 90.00 degrees
Atoms (fractional coordinates):
Sn  0.145  0.144  0.097
Sn  0.145  0.356  0.597
Sn  0.855  0.644  0.403
Sn  0.855  0.856  0.903
H  0.027  0.222  0.230
H  0.027  0.278  0.730
H  0.032  0.718  0.383
H  0.032  0.782  0.883
H  0.033  0.084  0.654
H  0.033  0.416  0.154
H  0.075  0.701  0.562
H  0.075  0.799  0.062
H  0.093  0.202  0.914
H  0.093  0.298  0.414
H  0.138  0.701  0.674
H  0.138  0.799  0.174
H  0.162  0.109  0.455
H  0.162  0.391  0.955
H  0.195  0.712  0.568
H  0.195  0.788  0.068
H  0.212  0.174  0.926
H  0.212  0.326  0.426
H  0.244  0.132  0.723
H  0.244  0.368  0.223
H  0.259  0.130  0.254
H  0.259  0.370  0.754
H  0.324  0.107  0.543
H  0.324  0.393  0.043
H  0.335  0.054  0.052
H  0.335  0.446  0.552
H  0.352  0.525  0.147
H  0.352  0.975  0.647
H  0.367  0.551  0.663
H  0.367  0.949  0.163
H  0.400  0.119  0.791
H  0.400  0.381  0.291
H  0.408  0.133  0.298
H  0.408  0.367  0.798
H  0.438  0.095  0.591
H  0.438  0.405  0.091
H  0.448  0.075  0.101
H  0.448  0.425  0.601
H  0.486  0.239  0.731
H  0.486  0.261  0.231
H  0.514  0.739  0.769
H  0.514  0.761  0.269
H  0.552  0.575  0.399
H  0.552  0.925  0.899
H  0.562  0.595  0.909
H  0.562  0.905  0.409
H  0.592  0.633  0.202
H  0.592  0.867  0.702
H  0.600  0.619  0.709
H  0.600  0.881  0.209
H  0.633  0.051  0.837
H  0.633  0.449  0.337
H  0.648  0.025  0.353
H  0.648  0.475  0.853
H  0.665  0.554  0.448
H  0.665  0.946  0.948
H  0.676  0.607  0.957
H  0.676  0.893  0.457
H  0.741  0.630  0.246
H  0.741  0.870  0.746
H  0.756  0.632  0.777
H  0.756  0.868  0.277
H  0.788  0.674  0.574
H  0.788  0.826  0.074
H  0.805  0.212  0.932
H  0.805  0.288  0.432
H  0.838  0.609  0.045
H  0.838  0.891  0.545
H  0.862  0.201  0.826
H  0.862  0.299  0.326
H  0.907  0.702  0.586
H  0.907  0.798  0.086
H  0.925  0.201  0.938
H  0.925  0.299  0.438
H  0.967  0.584  0.846
H  0.967  0.916  0.346
H  0.968  0.218  0.117
H  0.968  0.282  0.617
H  0.973  0.722  0.270
H  0.973  0.778  0.770
C  0.030  0.235  0.657
C  0.030  0.265  0.157
C  0.137  0.654  0.601
C  0.137  0.846  0.101
C  0.155  0.241  0.956
C  0.155  0.259  0.456
C  0.259  0.231  0.196
C  0.259  0.269  0.696
C  0.368  0.097  0.607
C  0.368  0.403  0.107
C  0.378  0.066  0.117
C  0.378  0.434  0.617
C  0.417  0.245  0.754
C  0.417  0.255  0.254
C  0.583  0.745  0.746
C  0.583  0.755  0.246
C  0.622  0.566  0.383
C  0.622  0.934  0.883
C  0.632  0.597  0.893
C  0.632  0.903  0.393
C  0.741  0.731  0.304
C  0.741  0.769  0.804
C  0.845  0.741  0.544
C  0.845  0.759  0.044
C  0.863  0.154  0.899
C  0.863  0.346  0.399
C  0.970  0.735  0.843
C  0.970  0.765  0.343
I  0.333  0.750  0.373
I  0.333  0.750  0.873
I  0.667  0.250  0.127
I  0.667  0.250  0.627
N  0.354  0.238  0.168
N  0.354  0.262  0.668
N  0.646  0.738  0.332
N  0.646  0.762  0.832


Material: Cs2SiH2O4
Method: DFT, PBE
State: relaxed

Properties
Space group: No. 2
Distance to the lowest polymorph of the same formula, meV/atom: 21
Energy relative to the elements, eV per atom: -2.13

Cell lengths 6.018, 6.264, 8.846 Å; angles 76.53, 71.14, 86.39 degrees
Atoms (fractional coordinates):
Cs  0.088  0.151  0.293
Cs  0.261  0.737  0.027
Cs  0.739  0.263  0.973
Cs  0.912  0.849  0.707
Si  0.374  0.345  0.716
Si  0.626  0.655  0.284
H  0.200  0.495  0.532
H  0.449  0.697  0.590
H  0.551  0.303  0.410
H  0.800  0.505  0.468
O  0.148  0.378  0.633
O  0.268  0.226  0.908
O  0.402  0.762  0.400
O  0.441  0.612  0.704
O  0.559  0.388  0.296
O  0.598  0.238  0.600
O  0.732  0.774  0.092
O  0.852  0.622  0.367